The following is a DFT calculation (GGA-PBE) of a geometry-optimized Li2PrPb structure.

Results
VASP energy = -3.434 eV per atom
symmetry = Fm-3m, No. 225
V = 21.95 Å³ per atom

Cell and atoms, written as POSCAR:
```
Li2PrPb
1.0
0.000 3.527 3.527
3.527 0.000 3.527
3.527 3.527 0.000
Li Pr Pb
2 1 1
Direct
0.250 0.250 0.250
0.750 0.750 0.750
0.000 0.000 0.000
0.500 0.500 0.500
```